Record 1
HoIO | PBE-GGA | relaxed

As for the volume: 24.29 A^3/atom. The formation energy from the elements is -840 kJ/mol of formula units.

The space group is R-3m (No. 166, hexagonal axes) and the conventional cell measures 3.9148, 3.9148 and 32.9376 Å, with angles of 90.00, 90.00 and 120.00 degrees. The asymmetric unit holds Ho at (0.0000, 0.0000, 0.1243), I at (0.0000, 0.0000, 0.3916) and O at (0.0000, 0.0000, 0.1926).

Record 2
HoIO | PBE-GGA | relaxed

As for the volume: 24.73 A^3/atom. The formation energy from the elements is -860 kJ/mol of formula units.

The space group is P4/nmm (No. 129, origin choice 2) and the conventional cell measures 3.932, 3.932 and 9.600 Å, with angles of 90.00, 90.00 and 90.00 degrees. The asymmetric unit holds Ho at (0.250, 0.250, 0.114), I at (0.250, 0.250, 0.685) and O at (0.250, 0.750, 0.000).